## P
Density functional theory data (PBE+U) for an optimized crystal structure of Li4Cr3CoO8.

abc: 5.937 5.937 5.937
angles: 59.82 59.82 59.82
Positions (direct):
Cr  0.500  0.000  0.000
Cr  0.000  0.000  0.500
Cr  0.000  0.500  0.000
Li  0.000  0.000  0.000
Li  0.000  0.500  0.500
Li  0.500  0.000  0.500
Li  0.500  0.500  0.000
O  0.244  0.742  0.742
O  0.742  0.244  0.742
O  0.742  0.742  0.244
O  0.258  0.258  0.756
O  0.242  0.242  0.242
O  0.258  0.756  0.258
O  0.758  0.758  0.758
O  0.756  0.258  0.258
Co  0.500  0.500  0.500

=====

## Q
Density functional theory data (PBE+U) for an optimized crystal structure of Li4Cr3CoO8.

abc: 5.102 5.858 10.558
angles: 74.03 76.20 73.32
Positions (direct):
O  0.772  0.776  0.309
O  0.777  0.155  0.062
O  0.227  0.098  0.440
O  0.225  0.980  0.186
O  0.773  0.902  0.560
O  0.228  0.224  0.691
O  0.781  0.644  0.057
O  0.227  0.599  0.439
O  0.223  0.845  0.938
O  0.223  0.470  0.187
O  0.773  0.401  0.561
O  0.775  0.020  0.814
O  0.777  0.530  0.813
O  0.776  0.279  0.305
O  0.219  0.356  0.943
O  0.224  0.721  0.695
Li  0.498  0.250  0.501
Li  0.500  0.872  0.753
Li  0.500  0.000  0.000
Li  0.502  0.750  0.499
Li  0.504  0.622  0.251
Li  0.496  0.378  0.749
Li  0.500  0.500  0.000
Li  0.500  0.128  0.247
Co  0.000  0.314  0.123
Co  0.000  0.686  0.877
Cr  0.000  0.563  0.627
Cr  0.000  0.940  0.373
Cr  0.000  0.189  0.877
Cr  0.000  0.811  0.123
Cr  0.000  0.060  0.627
Cr  0.000  0.437  0.373

=====

Most stable structure - Q; separation to the second - 0.009 eV/atom.

=====

## P
Density functional theory data (PBE+U) for an optimized crystal structure of Li4Cr3CoO8.

abc: 5.102 7.751 7.752
angles: 81.68 83.74 71.03
Positions (direct):
O  0.772  0.590  0.717
O  0.223  0.282  0.656
O  0.224  0.788  0.162
O  0.224  0.665  0.528
O  0.782  0.967  0.587
O  0.776  0.084  0.222
O  0.773  0.839  0.966
O  0.773  0.463  0.094
O  0.227  0.161  0.034
O  0.228  0.410  0.283
O  0.776  0.335  0.472
O  0.777  0.718  0.344
O  0.224  0.916  0.778
O  0.218  0.033  0.413
O  0.776  0.212  0.838
O  0.227  0.537  0.906
Li  0.499  0.064  0.811
Li  0.497  0.314  0.063
Li  0.496  0.815  0.560
Li  0.503  0.686  0.937
Li  0.501  0.936  0.189
Li  0.504  0.185  0.440
Li  0.505  0.435  0.688
Li  0.495  0.565  0.312
Cr  0.000  0.000  0.000
Cr  0.000  0.374  0.874
Cr  0.000  0.626  0.126
Cr  0.001  0.754  0.746
Cr  0.000  0.500  0.500
Cr  0.999  0.246  0.254
Co  0.000  0.876  0.376
Co  0.000  0.124  0.624

=====

## Q
Density functional theory data (PBE+U) for an optimized crystal structure of Li4Cr3CoO8.

abc: 5.096 9.844 5.901
angles: 90.29 89.67 100.08
Positions (direct):
O  0.624  0.861  0.995
O  0.625  0.861  0.507
O  0.622  0.363  0.750
O  0.112  0.861  0.752
O  0.373  0.141  0.008
O  0.615  0.361  0.254
O  0.123  0.863  0.251
O  0.377  0.637  0.249
O  0.127  0.359  0.492
O  0.874  0.639  0.993
O  0.875  0.639  0.505
O  0.385  0.131  0.510
O  0.885  0.139  0.246
O  0.388  0.639  0.748
O  0.115  0.369  0.990
O  0.878  0.137  0.750
Li  0.011  0.498  0.247
Li  0.997  0.999  0.998
Li  0.503  0.501  0.502
Li  0.002  0.999  0.503
Li  0.988  0.503  0.755
Li  0.512  0.997  0.745
Li  0.489  0.002  0.253
Li  0.498  0.501  0.997
Cr  0.750  0.750  0.250
Cr  0.250  0.250  0.750
Cr  0.250  0.750  0.503
Cr  0.752  0.251  0.001
Cr  0.748  0.249  0.499
Cr  0.250  0.750  0.997
Co  0.750  0.750  0.750
Co  0.250  0.250  0.250

=====

Most stable structure - P; separation to the second - 0.007 eV/atom.

=====

## P
Density functional theory data (PBE+U) for an optimized crystal structure of Li4Cr3CoO8.

abc: 5.109 5.861 10.564
angles: 73.91 76.20 73.35
Positions (direct):
O  0.273  0.839  0.935
O  0.723  0.660  0.068
O  0.722  0.782  0.314
O  0.278  0.218  0.686
O  0.277  0.590  0.432
O  0.276  0.707  0.687
O  0.278  0.466  0.187
O  0.277  0.340  0.932
O  0.724  0.293  0.313
O  0.273  0.089  0.436
O  0.727  0.161  0.065
O  0.723  0.042  0.813
O  0.277  0.958  0.187
O  0.722  0.534  0.813
O  0.727  0.911  0.564
O  0.723  0.410  0.568
Cr  0.500  0.252  0.500
Cr  0.500  0.500  0.000
Cr  0.500  0.125  0.250
Cr  0.500  0.748  0.500
Cr  0.500  0.875  0.750
Cr  0.500  0.000  0.000
Co  0.500  0.625  0.250
Co  0.500  0.375  0.750
Li  0.000  0.809  0.127
Li  0.002  0.441  0.371
Li  0.994  0.067  0.625
Li  0.998  0.559  0.629
Li  0.992  0.316  0.126
Li  0.008  0.684  0.874
Li  0.006  0.933  0.375
Li  0.000  0.191  0.873

=====

## Q
Density functional theory data (PBE+U) for an optimized crystal structure of Li4Cr3CoO8.

abc: 5.897 8.893 6.621
angles: 98.63 116.22 70.51
Positions (direct):
O  0.889  0.992  0.266
O  0.882  0.492  0.776
O  0.366  0.754  0.483
O  0.642  0.741  0.016
O  0.140  0.742  0.016
O  0.637  0.241  0.516
O  0.863  0.759  0.484
O  0.134  0.246  0.517
O  0.377  0.491  0.759
O  0.123  0.509  0.241
O  0.112  0.009  0.736
O  0.360  0.258  0.984
O  0.388  0.991  0.264
O  0.858  0.259  0.984
O  0.611  0.008  0.734
O  0.618  0.508  0.224
Cr  0.497  0.251  0.749
Cr  0.501  0.750  0.249
Cr  0.003  0.749  0.251
Cr  0.250  0.500  0.000
Cr  0.750  0.000  0.500
Cr  0.998  0.250  0.751
Li  0.247  0.252  0.250
Li  0.498  0.001  0.998
Li  0.007  0.499  0.492
Li  0.493  0.501  0.508
Li  0.253  0.748  0.750
Li  0.754  0.250  0.249
Li  0.746  0.750  0.751
Li  0.002  0.999  0.002
Co  0.750  0.500  0.000
Co  0.250  0.000  0.500

=====

Most stable structure - P; separation to the second - 0.011 eV/atom.

=====

## P
Density functional theory data (PBE+U) for an optimized crystal structure of Li4Cr3CoO8.

abc: 5.084 10.248 5.872
angles: 73.37 90.01 80.49
Positions (direct):
Li  0.491  0.001  0.752
Li  0.491  0.501  0.752
Li  0.000  0.996  0.505
Li  0.000  0.496  0.505
Li  0.009  0.499  0.998
Li  0.500  0.004  0.245
Li  0.009  0.999  0.998
Li  0.500  0.504  0.245
O  0.124  0.639  0.687
O  0.124  0.139  0.687
O  0.888  0.362  0.819
O  0.888  0.862  0.820
O  0.125  0.638  0.174
O  0.878  0.364  0.318
O  0.376  0.361  0.063
O  0.622  0.636  0.432
O  0.125  0.138  0.175
O  0.622  0.136  0.432
O  0.375  0.362  0.575
O  0.375  0.862  0.576
O  0.612  0.638  0.930
O  0.376  0.861  0.063
O  0.612  0.138  0.931
O  0.878  0.864  0.318
Cr  0.250  0.750  0.375
Cr  0.751  0.250  0.122
Cr  0.751  0.750  0.122
Cr  0.749  0.250  0.628
Cr  0.250  0.250  0.375
Cr  0.749  0.750  0.628
Co  0.250  0.250  0.875
Co  0.250  0.750  0.875

=====

## Q
Density functional theory data (PBE+U) for an optimized crystal structure of Li4Cr3CoO8.

abc: 5.069 9.885 5.935
angles: 90.00 90.00 100.23
Positions (direct):
O  0.623  0.866  0.498
O  0.376  0.637  0.250
O  0.623  0.364  0.750
O  0.109  0.858  0.750
O  0.609  0.358  0.250
O  0.122  0.364  0.998
O  0.124  0.863  0.250
O  0.378  0.136  0.998
O  0.378  0.136  0.502
O  0.891  0.142  0.250
O  0.391  0.642  0.750
O  0.877  0.634  0.498
O  0.122  0.364  0.502
O  0.877  0.136  0.750
O  0.877  0.634  0.002
O  0.623  0.866  0.002
Cr  0.250  0.250  0.750
Cr  0.250  0.750  0.001
Cr  0.250  0.750  0.499
Cr  0.750  0.250  0.501
Cr  0.750  0.750  0.250
Cr  0.750  0.250  0.999
Co  0.750  0.750  0.750
Co  0.250  0.250  0.250
Li  0.511  0.000  0.750
Li  0.999  0.000  0.500
Li  0.501  0.500  0.500
Li  0.490  0.001  0.250
Li  0.010  0.499  0.250
Li  0.501  0.500  0.000
Li  0.989  0.500  0.750
Li  0.999  0.000  0.000

=====

## R
Density functional theory data (PBE+U) for an optimized crystal structure of Li4Cr3CoO8.

abc: 5.130 9.835 5.937
angles: 90.58 89.70 100.65
Positions (direct):
Li  0.007  0.000  0.496
Li  0.250  0.251  0.250
Li  0.746  0.748  0.750
Li  0.250  0.249  0.750
Li  0.506  0.498  0.996
Li  0.994  0.002  0.004
Li  0.493  0.500  0.504
Li  0.754  0.752  0.250
O  0.855  0.128  0.251
O  0.106  0.381  0.499
O  0.401  0.123  0.000
O  0.858  0.127  0.744
O  0.896  0.620  0.004
O  0.361  0.624  0.762
O  0.147  0.866  0.742
O  0.139  0.876  0.238
O  0.394  0.119  0.501
O  0.604  0.880  0.996
O  0.907  0.625  0.504
O  0.642  0.373  0.256
O  0.099  0.377  0.000
O  0.353  0.634  0.258
O  0.593  0.875  0.496
O  0.645  0.372  0.749
Cr  0.004  0.501  0.752
Cr  0.500  0.999  0.747
Cr  0.496  0.999  0.248
Cr  0.250  0.750  0.000
Cr  0.000  0.501  0.253
Cr  0.750  0.250  0.500
Co  0.750  0.250  0.000
Co  0.250  0.750  0.500

=====

Most stable structure - P; separation to the second - 0.009 eV/atom.

=====

## P
Density functional theory data (PBE+U) for an optimized crystal structure of Li4Cr3CoO8.

abc: 5.909 8.885 6.629
angles: 98.73 116.47 70.60
Positions (direct):
O  0.361  0.258  0.984
O  0.859  0.258  0.983
O  0.608  0.008  0.731
O  0.618  0.508  0.225
O  0.892  0.992  0.269
O  0.120  0.509  0.239
O  0.139  0.742  0.016
O  0.882  0.492  0.775
O  0.864  0.758  0.484
O  0.380  0.491  0.761
O  0.368  0.754  0.484
O  0.641  0.742  0.017
O  0.390  0.991  0.263
O  0.132  0.246  0.516
O  0.636  0.242  0.516
O  0.110  0.009  0.737
Co  0.250  0.000  0.500
Co  0.750  0.500  0.000
Li  0.005  0.499  0.491
Li  0.495  0.001  0.997
Li  0.005  0.999  0.003
Li  0.253  0.749  0.750
Li  0.747  0.749  0.751
Li  0.495  0.501  0.509
Li  0.247  0.251  0.250
Li  0.753  0.251  0.249
Cr  0.250  0.500  0.000
Cr  0.750  0.000  0.500
Cr  0.999  0.250  0.751
Cr  0.502  0.750  0.249
Cr  0.497  0.251  0.749
Cr  0.003  0.749  0.251

=====

## Q
Density functional theory data (PBE+U) for an optimized crystal structure of Li4Cr3CoO8.

abc: 5.104 7.739 7.758
angles: 81.86 83.81 71.01
Positions (direct):
O  0.724  0.229  0.841
O  0.727  0.848  0.969
O  0.273  0.901  0.780
O  0.719  0.357  0.471
O  0.277  0.406  0.280
O  0.727  0.099  0.220
O  0.724  0.475  0.100
O  0.273  0.027  0.406
O  0.281  0.643  0.529
O  0.273  0.152  0.031
O  0.277  0.281  0.655
O  0.276  0.771  0.159
O  0.727  0.973  0.594
O  0.723  0.594  0.720
O  0.276  0.525  0.900
O  0.723  0.719  0.345
Co  0.500  0.562  0.314
Co  0.500  0.438  0.686
Cr  0.500  0.808  0.562
Cr  0.500  0.935  0.189
Cr  0.500  0.065  0.811
Cr  0.500  0.192  0.438
Cr  0.500  0.685  0.938
Cr  0.500  0.315  0.062
Li  0.998  0.251  0.249
Li  0.998  0.624  0.129
Li  0.000  0.000  0.000
Li  0.000  0.500  0.500
Li  0.998  0.125  0.626
Li  0.002  0.875  0.374
Li  0.002  0.749  0.751
Li  0.002  0.376  0.871

=====

Most stable structure - Q; separation to the second - 0.011 eV/atom.